(1)
A relaxed structure of NbCo3. Source: the Materials Project database, functional PBE.

Cell: 4.733 4.733 15.464 Å, 90.00 90.00 120.00°
Sites, in units of the cell vectors:
Nb (0.000, 0.000, 0.092)
Nb (0.000, 0.000, 0.908)
Nb (0.333, 0.667, 0.161)
Nb (0.333, 0.667, 0.351)
Nb (0.667, 0.333, 0.649)
Nb (0.667, 0.333, 0.839)
Co (0.000, 0.000, 0.413)
Co (0.000, 0.000, 0.587)
Co (0.000, 0.500, 0.000)
Co (0.000, 0.500, 0.500)
Co (0.163, 0.326, 0.747)
Co (0.163, 0.837, 0.747)
Co (0.326, 0.163, 0.253)
Co (0.333, 0.667, 0.625)
Co (0.333, 0.667, 0.872)
Co (0.500, 0.000, 0.000)
Co (0.500, 0.000, 0.500)
Co (0.500, 0.500, 0.000)
Co (0.500, 0.500, 0.500)
Co (0.667, 0.333, 0.128)
Co (0.667, 0.333, 0.375)
Co (0.674, 0.837, 0.747)
Co (0.837, 0.163, 0.253)
Co (0.837, 0.674, 0.253)

Computed properties:
Raw total energy = -7.9397 eV/atom
SG = No. 164

---

(2)
A relaxed structure of SrI2O6. Source: the Materials Project database, functional PBE.

Cell: 6.042 6.211 18.129 Å, 90.00 90.00 90.00°
Sites, in units of the cell vectors:
Sr (0.210, 0.172, 0.096)
Sr (0.290, 0.828, 0.596)
Sr (0.710, 0.328, 0.904)
Sr (0.790, 0.672, 0.404)
I (0.029, 0.864, 0.921)
I (0.247, 0.712, 0.290)
I (0.253, 0.288, 0.790)
I (0.471, 0.136, 0.421)
I (0.529, 0.636, 0.079)
I (0.747, 0.788, 0.710)
I (0.753, 0.212, 0.210)
I (0.971, 0.364, 0.579)
O (0.001, 0.537, 0.289)
O (0.031, 0.592, 0.517)
O (0.053, 0.473, 0.834)
O (0.107, 0.485, 0.661)
O (0.158, 0.868, 0.372)
O (0.202, 0.194, 0.547)
O (0.298, 0.806, 0.047)
O (0.342, 0.132, 0.872)
O (0.393, 0.515, 0.161)
O (0.447, 0.527, 0.334)
O (0.469, 0.408, 0.017)
O (0.499, 0.463, 0.789)
O (0.501, 0.963, 0.711)
O (0.531, 0.908, 0.483)
O (0.553, 0.027, 0.166)
O (0.607, 0.015, 0.339)
O (0.658, 0.632, 0.628)
O (0.702, 0.306, 0.453)
O (0.798, 0.694, 0.953)
O (0.842, 0.368, 0.128)
O (0.893, 0.985, 0.839)
O (0.947, 0.973, 0.666)
O (0.969, 0.092, 0.983)
O (0.999, 0.037, 0.211)

Computed properties:
SG = No. 19
Polymorph energy (0 for the lowest one) = 8.8 meV per atom

---

(3)
A relaxed structure of K2UH6C4SeO15. Source: the Materials Project database, functional PBE.

Cell: 7.335 9.031 12.627 Å, 84.77 89.17 86.04°
Sites, in units of the cell vectors:
K (0.178, 0.495, 0.257)
K (0.208, 0.990, 0.160)
K (0.792, 0.010, 0.840)
K (0.822, 0.505, 0.743)
U (0.300, 0.254, 0.776)
U (0.700, 0.746, 0.224)
H (0.110, 0.836, 0.605)
H (0.154, 0.707, 0.510)
H (0.180, 0.889, 0.475)
H (0.183, 0.738, 0.961)
H (0.312, 0.083, 0.404)
H (0.422, 0.927, 0.398)
H (0.578, 0.073, 0.602)
H (0.688, 0.917, 0.596)
H (0.817, 0.262, 0.039)
H (0.820, 0.111, 0.525)
H (0.846, 0.293, 0.490)
H (0.890, 0.164, 0.395)
C (0.239, 0.467, 0.972)
C (0.251, 0.457, 0.546)
C (0.284, 0.309, 0.028)
C (0.320, 0.302, 0.513)
C (0.680, 0.698, 0.487)
C (0.716, 0.691, 0.972)
C (0.749, 0.543, 0.454)
C (0.761, 0.533, 0.028)
Se (0.277, 0.833, 0.795)
Se (0.723, 0.167, 0.205)
O (0.055, 0.228, 0.772)
O (0.090, 0.864, 0.717)
O (0.106, 0.817, 0.524)
O (0.169, 0.843, 0.924)
O (0.211, 0.575, 0.027)
O (0.218, 0.562, 0.474)
O (0.231, 0.467, 0.646)
O (0.233, 0.472, 0.870)
O (0.297, 0.288, 0.126)
O (0.298, 0.976, 0.393)
O (0.302, 0.206, 0.963)
O (0.330, 0.278, 0.417)
O (0.360, 0.206, 0.592)
O (0.373, 0.003, 0.788)
O (0.456, 0.715, 0.221)
O (0.544, 0.285, 0.779)
O (0.627, 0.997, 0.212)
O (0.640, 0.794, 0.408)
O (0.670, 0.722, 0.583)
O (0.698, 0.794, 0.037)
O (0.702, 0.024, 0.607)
O (0.703, 0.712, 0.874)
O (0.767, 0.528, 0.130)
O (0.769, 0.533, 0.354)
O (0.782, 0.438, 0.526)
O (0.789, 0.425, 0.973)
O (0.831, 0.157, 0.076)
O (0.894, 0.183, 0.476)
O (0.910, 0.136, 0.283)
O (0.945, 0.772, 0.228)

Computed properties:
Raw total energy = -6.5949 eV/atom
SG = No. 2

---

(4)
A relaxed structure of SmH10S3N3O11. Source: the Materials Project database, functional PBE.

Cell: 7.925 9.176 9.249 Å, 117.48 95.12 92.41°
Sites, in units of the cell vectors:
Sm (0.218, 0.382, 0.220)
Sm (0.782, 0.618, 0.780)
H (0.128, 0.965, 0.327)
H (0.141, 0.246, 0.626)
H (0.201, 0.449, 0.745)
H (0.271, 0.029, 0.145)
H (0.294, 0.036, 0.975)
H (0.320, 0.328, 0.885)
H (0.323, 0.897, 0.324)
H (0.367, 0.789, 0.786)
H (0.400, 0.882, 0.672)
H (0.495, 0.339, 0.996)
H (0.505, 0.661, 0.004)
H (0.600, 0.118, 0.328)
H (0.633, 0.211, 0.214)
H (0.677, 0.103, 0.676)
H (0.680, 0.672, 0.115)
H (0.706, 0.964, 0.025)
H (0.729, 0.971, 0.855)
H (0.799, 0.551, 0.255)
H (0.859, 0.754, 0.374)
H (0.872, 0.035, 0.673)
S (0.135, 0.762, 0.619)
S (0.145, 0.721, 0.104)
S (0.399, 0.322, 0.584)
S (0.601, 0.678, 0.416)
S (0.855, 0.279, 0.896)
S (0.865, 0.238, 0.381)
N (0.221, 0.908, 0.253)
N (0.242, 0.333, 0.696)
N (0.315, 0.862, 0.741)
N (0.685, 0.138, 0.259)
N (0.758, 0.667, 0.304)
N (0.779, 0.092, 0.747)
O (0.021, 0.252, 0.959)
O (0.035, 0.730, 0.730)
O (0.064, 0.874, 0.564)
O (0.125, 0.607, 0.175)
O (0.173, 0.605, 0.484)
O (0.271, 0.674, 0.988)
O (0.298, 0.103, 0.095)
O (0.326, 0.298, 0.422)
O (0.370, 0.336, 0.992)
O (0.489, 0.183, 0.571)
O (0.497, 0.485, 0.682)
O (0.503, 0.515, 0.318)
O (0.511, 0.817, 0.429)
O (0.630, 0.664, 0.008)
O (0.674, 0.702, 0.578)
O (0.702, 0.897, 0.905)
O (0.729, 0.326, 0.012)
O (0.827, 0.395, 0.516)
O (0.875, 0.393, 0.825)
O (0.936, 0.126, 0.436)
O (0.965, 0.270, 0.270)
O (0.979, 0.748, 0.041)

Computed properties:
Raw total energy = -5.8085 eV/atom
SG = No. 2

---

(5)
A relaxed structure of Ti2SnP3O12. Source: the Materials Project database, functional PBE.

Cell: 9.049 9.049 9.049 Å, 57.24 57.24 57.24°
Sites, in units of the cell vectors:
Ti (0.149, 0.149, 0.149)
Ti (0.351, 0.351, 0.351)
Ti (0.649, 0.649, 0.649)
Ti (0.851, 0.851, 0.851)
Sn (0.000, 0.000, 0.000)
Sn (0.500, 0.500, 0.500)
P (0.038, 0.750, 0.462)
P (0.250, 0.538, 0.962)
P (0.462, 0.038, 0.750)
P (0.538, 0.962, 0.250)
P (0.750, 0.462, 0.038)
P (0.962, 0.250, 0.538)
O (0.006, 0.787, 0.626)
O (0.062, 0.923, 0.279)
O (0.077, 0.721, 0.938)
O (0.126, 0.287, 0.506)
O (0.213, 0.374, 0.994)
O (0.221, 0.577, 0.438)
O (0.279, 0.062, 0.923)
O (0.287, 0.506, 0.126)
O (0.374, 0.994, 0.213)
O (0.423, 0.562, 0.779)
O (0.438, 0.221, 0.577)
O (0.494, 0.874, 0.713)
O (0.506, 0.126, 0.287)
O (0.562, 0.779, 0.423)
O (0.577, 0.438, 0.221)
O (0.626, 0.006, 0.787)
O (0.713, 0.494, 0.874)
O (0.721, 0.938, 0.077)
O (0.779, 0.423, 0.562)
O (0.787, 0.626, 0.006)
O (0.874, 0.713, 0.494)
O (0.923, 0.279, 0.062)
O (0.938, 0.077, 0.721)
O (0.994, 0.213, 0.374)

Computed properties:
Raw total energy = -7.6975 eV/atom
SG = No. 167

---

(6)
A relaxed structure of CaCo2P2. Source: the Materials Project database, functional PBE.

Cell: 3.850 3.850 9.589 Å, 90.00 90.00 90.00°
Sites, in units of the cell vectors:
Ca (0.000, 0.000, 0.000)
Ca (0.500, 0.500, 0.500)
Co (0.000, 0.500, 0.250)
Co (0.000, 0.500, 0.750)
Co (0.500, 0.000, 0.250)
Co (0.500, 0.000, 0.750)
P (0.000, 0.000, 0.369)
P (0.000, 0.000, 0.631)
P (0.500, 0.500, 0.131)
P (0.500, 0.500, 0.869)

Computed properties:
Raw total energy = -6.2642 eV/atom
SG = No. 139

---

(7)
A relaxed structure of AgPb2Br5. Source: the Materials Project database, functional PBE.

Cell: 9.167 9.167 8.092 Å, 95.42 95.42 46.14°
Sites, in units of the cell vectors:
Ag (0.000, 0.500, 0.000)
Ag (0.500, 0.000, 0.500)
Pb (0.129, 0.664, 0.436)
Pb (0.336, 0.871, 0.064)
Pb (0.664, 0.129, 0.936)
Pb (0.871, 0.336, 0.564)
Br (0.074, 0.926, 0.750)
Br (0.136, 0.306, 0.320)
Br (0.296, 0.529, 0.079)
Br (0.306, 0.136, 0.820)
Br (0.471, 0.704, 0.421)
Br (0.529, 0.296, 0.579)
Br (0.694, 0.864, 0.180)
Br (0.704, 0.471, 0.921)
Br (0.864, 0.694, 0.680)
Br (0.926, 0.074, 0.250)

Computed properties:
Raw total energy = -3.0720 eV/atom
SG = No. 15

---

(8)
A relaxed structure of VS2. Source: the Materials Project database, functional PBE.

Cell: 5.418 5.418 9.984 Å, 90.00 90.00 90.00°
Sites, in units of the cell vectors:
V (0.000, 0.000, 0.000)
V (0.000, 0.500, 0.250)
V (0.500, 0.000, 0.750)
V (0.500, 0.500, 0.500)
S (0.228, 0.250, 0.125)
S (0.250, 0.728, 0.375)
S (0.250, 0.772, 0.875)
S (0.272, 0.250, 0.625)
S (0.728, 0.750, 0.625)
S (0.750, 0.228, 0.875)
S (0.750, 0.272, 0.375)
S (0.772, 0.750, 0.125)

Computed properties:
Raw total energy = -6.3890 eV/atom
SG = No. 122

---

(9)
A relaxed structure of Mg2Cu9O13. Source: the Materials Project database, functional PBE.

Cell: 5.135 5.135 16.220 Å, 98.09 98.09 33.41°
Sites, in units of the cell vectors:
Mg (0.215, 0.215, 0.228)
Mg (0.785, 0.785, 0.772)
Cu (0.008, 0.008, 0.669)
Cu (0.065, 0.065, 0.876)
Cu (0.250, 0.250, 0.582)
Cu (0.355, 0.355, 0.959)
Cu (0.500, 0.500, 0.500)
Cu (0.645, 0.645, 0.041)
Cu (0.750, 0.750, 0.418)
Cu (0.935, 0.935, 0.124)
Cu (0.992, 0.992, 0.331)
O (0.000, 0.000, 0.000)
O (0.132, 0.132, 0.470)
O (0.142, 0.142, 0.773)
O (0.299, 0.299, 0.071)
O (0.370, 0.370, 0.685)
O (0.391, 0.391, 0.388)
O (0.416, 0.416, 0.854)
O (0.584, 0.584, 0.146)
O (0.609, 0.609, 0.612)
O (0.630, 0.630, 0.315)
O (0.701, 0.701, 0.929)
O (0.858, 0.858, 0.227)
O (0.868, 0.868, 0.530)

Computed properties:
Raw total energy = -5.1367 eV/atom
SG = No. 12

---

(10)
A relaxed structure of Zr6BCl18O24. Source: the Materials Project database, functional PBE.

Cell: 12.111 12.111 12.111 Å, 109.47 109.47 109.47°
Sites, in units of the cell vectors:
Zr (0.000, 0.180, 0.180)
Zr (0.000, 0.820, 0.820)
Zr (0.180, 0.000, 0.180)
Zr (0.180, 0.180, 0.000)
Zr (0.820, 0.000, 0.820)
Zr (0.820, 0.820, 0.000)
B (0.000, 0.000, 0.000)
Cl (0.000, 0.182, 0.818)
Cl (0.000, 0.351, 0.351)
Cl (0.000, 0.649, 0.649)
Cl (0.000, 0.818, 0.182)
Cl (0.182, 0.000, 0.818)
Cl (0.182, 0.182, 0.364)
Cl (0.182, 0.364, 0.182)
Cl (0.182, 0.818, 0.000)
Cl (0.351, 0.000, 0.351)
Cl (0.351, 0.351, 0.000)
Cl (0.364, 0.182, 0.182)
Cl (0.636, 0.818, 0.818)
Cl (0.649, 0.000, 0.649)
Cl (0.649, 0.649, 0.000)
Cl (0.818, 0.000, 0.182)
Cl (0.818, 0.182, 0.000)
Cl (0.818, 0.636, 0.818)
Cl (0.818, 0.818, 0.636)
O (0.000, 0.303, 0.608)
O (0.000, 0.392, 0.697)
O (0.000, 0.608, 0.303)
O (0.000, 0.697, 0.392)
O (0.303, 0.000, 0.608)
O (0.303, 0.303, 0.695)
O (0.303, 0.608, 0.000)
O (0.303, 0.695, 0.303)
O (0.305, 0.608, 0.608)
O (0.305, 0.697, 0.697)
O (0.392, 0.000, 0.697)
O (0.392, 0.392, 0.695)
O (0.392, 0.695, 0.392)
O (0.392, 0.697, 0.000)
O (0.608, 0.000, 0.303)
O (0.608, 0.303, 0.000)
O (0.608, 0.305, 0.608)
O (0.608, 0.608, 0.305)
O (0.695, 0.303, 0.303)
O (0.695, 0.392, 0.392)
O (0.697, 0.000, 0.392)
O (0.697, 0.305, 0.697)
O (0.697, 0.392, 0.000)
O (0.697, 0.697, 0.305)

Computed properties:
Raw total energy = -5.1182 eV/atom
SG = No. 229

---

(11)
A relaxed structure of Rb2AlAuBr6. Source: the Materials Project database, functional PBE.

Cell: 7.653 7.653 7.653 Å, 60.00 60.00 60.00°
Sites, in units of the cell vectors:
Rb (0.250, 0.250, 0.250)
Rb (0.750, 0.750, 0.750)
Al (0.000, 0.000, 0.000)
Au (0.500, 0.500, 0.500)
Br (0.236, 0.236, 0.764)
Br (0.236, 0.764, 0.236)
Br (0.236, 0.764, 0.764)
Br (0.764, 0.236, 0.236)
Br (0.764, 0.236, 0.764)
Br (0.764, 0.764, 0.236)

Computed properties:
Raw total energy = -2.9730 eV/atom
SG = No. 225

---

(12)
A relaxed structure of As2O3. Source: the Materials Project database, functional PBE.

Cell: 4.659 13.823 7.047 Å, 90.00 126.81 90.00°
Sites, in units of the cell vectors:
As (0.127, 0.156, 0.129)
As (0.127, 0.344, 0.629)
As (0.278, 0.108, 0.744)
As (0.278, 0.392, 0.244)
As (0.722, 0.608, 0.756)
As (0.722, 0.892, 0.256)
As (0.873, 0.656, 0.371)
As (0.873, 0.844, 0.871)
O (0.007, 0.610, 0.659)
O (0.007, 0.890, 0.159)
O (0.130, 0.216, 0.564)
O (0.130, 0.284, 0.064)
O (0.332, 0.647, 0.465)
O (0.332, 0.853, 0.965)
O (0.668, 0.147, 0.035)
O (0.668, 0.353, 0.535)
O (0.870, 0.716, 0.936)
O (0.870, 0.784, 0.436)
O (0.993, 0.110, 0.841)
O (0.993, 0.390, 0.341)

Computed properties:
Raw total energy = -6.0429 eV/atom
SG = No. 14

---

Repeat the eighth record exactly.
A relaxed structure of VS2. Source: the Materials Project database, functional PBE.

Cell: 5.418 5.418 9.984 Å, 90.00 90.00 90.00°
Sites, in units of the cell vectors:
V (0.000, 0.000, 0.000)
V (0.000, 0.500, 0.250)
V (0.500, 0.000, 0.750)
V (0.500, 0.500, 0.500)
S (0.228, 0.250, 0.125)
S (0.250, 0.728, 0.375)
S (0.250, 0.772, 0.875)
S (0.272, 0.250, 0.625)
S (0.728, 0.750, 0.625)
S (0.750, 0.228, 0.875)
S (0.750, 0.272, 0.375)
S (0.772, 0.750, 0.125)

Computed properties:
Raw total energy = -6.3890 eV/atom
SG = No. 122

---

Q: Which formula does entry 9 have?
A: Mg2Cu9O13